1.
! V2Se2O9 PBE+U optimized geometry; values from VASP
! space group = P2_1/c
&SYSTEM
  ibrav = 0, nat = 52, ntyp = 3
/
ATOMIC_SPECIES
O 16.00 O.upf
Se 78.96 Se.upf
V 50.94 V.upf
CELL_PARAMETERS angstrom
7.3176 0.0000 0.0000
0.0000 7.4126 0.0000
0.0000 3.3479 14.1291
ATOMIC_POSITIONS crystal
O 0.4004 0.5253 0.2666
O 0.0337 0.0586 0.6547
O 0.2658 0.2001 0.8361
O 0.7059 0.2047 0.3334
O 0.0581 0.8170 0.5323
O 0.7608 0.5180 0.9050
O 0.1797 0.8361 0.8970
O 0.9663 0.9414 0.3453
O 0.5581 0.1830 0.9677
O 0.2941 0.7953 0.6666
O 0.3941 0.4968 0.8833
O 0.2022 0.0864 0.0174
O 0.7978 0.9136 0.9826
O 0.5337 0.9414 0.8453
O 0.7392 0.5180 0.4050
O 0.3203 0.8361 0.3970
O 0.7941 0.2047 0.8334
O 0.6797 0.1639 0.6030
O 0.4663 0.0586 0.1547
O 0.2342 0.2001 0.3361
O 0.9419 0.1830 0.4677
O 0.2059 0.7953 0.1666
O 0.6059 0.5032 0.1167
O 0.2392 0.4820 0.0950
O 0.8203 0.1639 0.1030
O 0.0996 0.5253 0.7666
O 0.2608 0.4820 0.5950
O 0.9004 0.4747 0.2334
O 0.1059 0.4968 0.3833
O 0.5996 0.4747 0.7334
O 0.7658 0.7999 0.6639
O 0.2978 0.0864 0.5174
O 0.7342 0.7999 0.1639
O 0.8941 0.5032 0.6167
O 0.7022 0.9136 0.4826
O 0.4419 0.8170 0.0323
Se 0.3171 0.3935 0.3713
Se 0.8171 0.6065 0.1287
Se 0.2315 0.0340 0.1394
Se 0.1829 0.3935 0.8713
Se 0.2685 0.0340 0.6394
Se 0.6829 0.6065 0.6287
Se 0.7315 0.9660 0.3606
Se 0.7685 0.9660 0.8606
V 0.6220 0.3825 0.8671
V 0.6658 0.0332 0.0719
V 0.1658 0.9668 0.4281
V 0.8342 0.0332 0.5719
V 0.3780 0.6175 0.1329
V 0.8780 0.3825 0.3671
V 0.1220 0.6175 0.6329
V 0.3342 0.9668 0.9281

2.
! V2Se2O9 PBE+U optimized geometry; values from VASP
! space group = P2_1/c
! magnetic moment = 0.000 μB/atom
&SYSTEM
  ibrav = 0, nat = 52, ntyp = 3
/
ATOMIC_SPECIES
O 16.00 O.upf
V 50.94 V.upf
Se 78.96 Se.upf
CELL_PARAMETERS angstrom
10.5271 0.0000 0.0000
0.0000 8.1817 0.0000
0.0000 6.3219 8.6619
ATOMIC_POSITIONS crystal
O 0.7740 0.5853 0.2756
O 0.1389 0.0076 0.2639
O 0.8139 0.2621 0.7927
O 0.0298 0.2826 0.9209
O 0.6782 0.2530 0.5818
O 0.4118 0.9470 0.1178
O 0.9118 0.0530 0.3822
O 0.6389 0.9924 0.2361
O 0.4560 0.3613 0.6510
O 0.8218 0.2530 0.0818
O 0.3139 0.7379 0.7073
O 0.5298 0.7174 0.5791
O 0.9272 0.8677 0.2371
O 0.0440 0.3613 0.1510
O 0.1782 0.7470 0.9182
O 0.2740 0.4147 0.2244
O 0.5516 0.6029 0.1178
O 0.3611 0.0076 0.7639
O 0.5440 0.6387 0.3490
O 0.3218 0.7470 0.4182
O 0.9560 0.6387 0.8490
O 0.0516 0.3971 0.3822
O 0.1861 0.7379 0.2073
O 0.4702 0.2826 0.4209
O 0.7260 0.5853 0.7756
O 0.0728 0.1323 0.7629
O 0.2260 0.4147 0.7244
O 0.5882 0.0530 0.8822
O 0.9484 0.6029 0.6178
O 0.4272 0.1323 0.2629
O 0.6861 0.2621 0.2927
O 0.4484 0.3971 0.8822
O 0.0882 0.9470 0.6178
O 0.5728 0.8677 0.7371
O 0.9702 0.7174 0.0791
O 0.8611 0.9924 0.7361
V 0.5318 0.1275 0.7176
V 0.6042 0.4813 0.2921
V 0.3958 0.5187 0.7079
V 0.0318 0.8725 0.7824
V 0.8958 0.4813 0.7921
V 0.9682 0.1275 0.2176
V 0.4682 0.8725 0.2824
V 0.1042 0.5187 0.2079
Se 0.8369 0.2510 0.6380
Se 0.1631 0.7490 0.3620
Se 0.1546 0.1878 0.8716
Se 0.6631 0.2510 0.1380
Se 0.3369 0.7490 0.8620
Se 0.6546 0.8122 0.6284
Se 0.8454 0.8122 0.1284
Se 0.3454 0.1878 0.3716

Least stable = 2